Entry from the Materials Project: an optimized crystal structure of TmSbPd2 (PBE-GGA).

Calculated values
Raw total energy = -5.61 eV per atom
Space-group type = No. 225
Formation energy = -870 meV/atom
Crystal system = cubic

```
4
Lattice="0.000 3.390 3.390 3.390 0.000 3.390 3.390 3.390 0.000" Properties=species:S:1:pos:R:3 pbc="T T T"
Tm 0.000 0.000 0.000
Sb 3.390 3.390 3.390
Pd 1.695 1.695 1.695
Pd 5.085 5.085 5.085
```

---

Entry from the Materials Project: an optimized crystal structure of BaBi5 (PBE-GGA).

Calculated values
Raw total energy = -3.78 eV per atom
Space-group type = No. 10
Formation energy = -218 meV/atom
Crystal system = monoclinic

```
6
Lattice="5.113 0.000 0.000 0.000 4.907 0.000 -1.719 0.000 8.446" Properties=species:S:1:pos:R:3 pbc="T T T"
Ba 0.000 0.000 0.000
Bi -0.368 2.454 2.761
Bi 0.866 0.000 5.730
Bi 2.556 2.454 0.000
Bi 2.528 0.000 2.717
Bi 3.762 2.454 5.685
```

---

Entry from the Materials Project: an optimized crystal structure of YMg6Al (PBE-GGA).

Calculated values
Raw total energy = -2.51 eV per atom
Energy above the most stable polymorph in this dataset = 0.000 eV per atom
Formation energy = -32 meV/atom

```
16
Lattice="5.093 0.000 0.000 0.000 6.223 0.000 0.000 0.000 11.774" Properties=species:S:1:pos:R:3 pbc="T T T"
Y 2.546 3.112 2.103
Y 2.546 0.000 7.990
Mg 2.546 1.543 5.010
Mg 2.546 4.681 5.010
Mg 0.000 4.680 0.908
Mg 0.000 1.543 0.908
Mg 0.000 0.000 3.725
Mg 0.000 3.112 3.996
Mg 2.546 4.655 10.897
Mg 2.546 1.569 10.897
Mg 0.000 1.568 6.795
Mg 0.000 4.655 6.795
Mg 0.000 3.112 9.612
Mg 0.000 0.000 9.883
Al 2.546 0.000 1.887
Al 2.546 3.112 7.774
```

---

Entry from the Materials Project: an optimized crystal structure of ZrRu2 (PBE-GGA).

Calculated values
Raw total energy = -9.40 eV per atom
Space-group type = No. 194
Formation energy = -371 meV/atom
Crystal system = hexagonal

```
12
Lattice="5.200 0.000 0.000 -2.600 4.503 0.000 0.000 0.000 8.586" Properties=species:S:1:pos:R:3 pbc="T T T"
Zr 0.000 3.002 0.569
Zr 0.000 3.002 3.723
Zr 2.600 1.501 4.862
Zr 2.600 1.501 8.016
Ru 0.000 0.000 0.000
Ru 0.000 0.000 4.293
Ru 0.000 1.548 6.439
Ru -1.259 3.729 6.439
Ru 1.341 0.774 2.146
Ru 1.259 3.729 6.439
Ru 3.859 0.774 2.146
Ru 2.600 2.955 2.146
```

---

Entry from the Materials Project: an optimized crystal structure of Ba2CdHg (PBE-GGA).

Calculated values
Raw total energy = -1.69 eV per atom
Space-group type = No. 225
Energy above the most stable polymorph in this dataset = 0.000 eV per atom
Formation energy = -422 meV/atom
Crystal system = cubic

```
4
Lattice="0.000 4.251 4.251 4.251 0.000 4.251 4.251 4.251 0.000" Properties=species:S:1:pos:R:3 pbc="T T T"
Ba 2.126 2.126 2.126
Ba 6.377 6.377 6.377
Cd 0.000 0.000 0.000
Hg 4.251 4.251 4.251
```

---

Entry from the Materials Project: an optimized crystal structure of Cd7SiN6 (PBE-GGA).

Calculated values
Raw total energy = -4.09 eV per atom
Space-group type = No. 63
Formation energy = 182 meV/atom
Crystal system = orthorhombic

```
28
Lattice="5.122 -2.976 0.000 5.122 2.976 0.000 0.000 0.000 13.532" Properties=species:S:1:pos:R:3 pbc="T T T"
Cd 2.881 1.185 8.404
Cd 2.881 1.185 11.894
Cd 5.122 2.427 10.149
Cd 5.122 1.503 0.466
Cd 5.122 1.503 6.300
Cd 2.881 -1.185 1.638
Cd 2.881 -1.185 5.128
Cd 7.364 1.185 8.404
Cd 7.364 1.185 11.894
Cd 5.122 -1.503 7.232
Cd 5.122 -1.503 13.066
Cd 5.122 -2.427 3.383
Cd 7.364 -1.185 1.638
Cd 7.364 -1.185 5.128
Si 5.122 0.638 3.383
Si 5.122 -0.638 10.149
N 3.700 1.712 3.383
N 1.732 0.000 0.000
N 1.732 0.000 6.766
N 6.545 1.712 3.383
N 5.122 0.409 8.699
N 5.122 0.409 11.599
N 5.122 -0.409 1.933
N 5.122 -0.409 4.833
N 3.700 -1.712 10.149
N 8.513 0.000 0.000
N 8.513 0.000 6.766
N 6.545 -1.712 10.149
```

---

Entry from the Materials Project: an optimized crystal structure of RbSe (PBE-GGA).

Calculated values
Raw total energy = -2.67 eV per atom
Space-group type = No. 225
Formation energy = -671 meV/atom
Crystal system = cubic

```
2
Lattice="0.000 3.536 3.536 3.536 0.000 3.536 3.536 3.536 0.000" Properties=species:S:1:pos:R:3 pbc="T T T"
Rb 0.000 0.000 0.000
Se 3.536 3.536 3.536
```

---

Entry from the Materials Project: an optimized crystal structure of Th2Co7 (PBE-GGA).

Calculated values
Raw total energy = -7.34 eV per atom
Space-group type = No. 166
Energy above the most stable polymorph in this dataset = 0.000 eV per atom
Formation energy = -164 meV/atom
Crystal system = trigonal

```
18
Lattice="2.482 1.433 12.422 -2.482 1.433 12.422 0.000 -2.866 12.422" Properties=species:S:1:pos:R:3 pbc="T T T"
Th 0.000 0.000 1.893
Th 0.000 0.000 5.449
Th 0.000 0.000 31.816
Th 0.000 0.000 35.371
Co -1.241 -0.717 12.422
Co -1.236 -0.714 16.453
Co 0.000 0.000 10.373
Co 0.000 0.000 14.461
Co 0.000 -1.427 20.812
Co -1.236 0.714 20.812
Co -1.241 0.717 24.843
Co 0.000 1.433 12.422
Co 0.000 0.000 18.632
Co 1.236 -0.714 16.453
Co 0.000 1.427 16.453
Co 0.000 0.000 22.804
Co 0.000 0.000 26.892
Co 1.236 0.714 20.812
```

---

Entry from the Materials Project: an optimized crystal structure of LiCuS (PBE-GGA).

Calculated values
Raw total energy = -4.07 eV per atom
Space-group type = No. 139
Formation energy = -860 meV/atom
Crystal system = tetragonal

```
12
Lattice="-5.083 5.083 2.382 5.083 -5.083 2.382 5.083 5.083 -2.382" Properties=species:S:1:pos:R:3 pbc="T T T"
Li 3.498 0.000 0.000
Li 6.669 0.000 0.000
Li 0.000 3.498 0.000
Li 0.000 6.669 0.000
Cu 3.608 3.608 0.000
Cu 1.476 -1.476 2.382
Cu -1.476 1.476 2.382
Cu 1.476 1.476 2.382
S 5.083 2.054 0.000
S 2.054 5.083 0.000
S 3.029 0.000 2.382
S 0.000 3.029 2.382
```

---

Entry from the Materials Project: an optimized crystal structure of Y2USe3 (PBE-GGA).

Calculated values
Raw total energy = -7.30 eV per atom
Space-group type = No. 164
Formation energy = -1748 meV/atom
Crystal system = trigonal

```
6
Lattice="4.012 0.000 0.000 -2.006 3.475 0.000 0.000 0.000 10.273" Properties=species:S:1:pos:R:3 pbc="T T T"
Y 0.000 2.316 1.779
Y 2.006 1.158 8.493
U 0.000 0.000 5.136
Se 0.000 0.000 0.000
Se 0.000 2.316 6.862
Se 2.006 1.158 3.410
```

---

Entry from the Materials Project: an optimized crystal structure of TaGaNi6 (PBE-GGA).

Calculated values
Raw total energy = -6.56 eV per atom
Space-group type = No. 123
Formation energy = -366 meV/atom
Crystal system = tetragonal

```
8
Lattice="3.622 0.000 0.000 0.000 3.622 0.000 0.000 0.000 7.229" Properties=species:S:1:pos:R:3 pbc="T T T"
Ta 0.000 0.000 0.000
Ga 0.000 0.000 3.615
Ni 0.000 1.811 1.816
Ni 0.000 1.811 5.413
Ni 1.811 0.000 1.816
Ni 1.811 0.000 5.413
Ni 1.811 1.811 0.000
Ni 1.811 1.811 3.615
```

---

Entry from the Materials Project: an optimized crystal structure of AlSi2O6 (PBE-GGA).

Calculated values
Raw total energy = -7.48 eV per atom
Space-group type = No. 21
Energy above the most stable polymorph in this dataset = 0.024 eV per atom
Formation energy = -3022 meV/atom
Crystal system = orthorhombic

```
9
Lattice="2.557 -4.610 0.000 2.557 4.610 0.000 0.000 0.000 5.829" Properties=species:S:1:pos:R:3 pbc="T T T"
Al 0.000 0.000 0.000
Si 1.278 2.305 3.872
Si 1.278 -2.305 1.956
O 0.972 1.016 4.792
O 2.557 1.976 2.914
O 0.972 -1.016 1.036
O 4.141 1.016 1.036
O 2.557 -1.976 2.914
O 4.141 -1.016 4.792
```

---

Entry from the Materials Project: an optimized crystal structure of Ho3Al2Ni6 (PBE-GGA).

Calculated values
Raw total energy = -5.66 eV per atom
Space-group type = No. 229
Formation energy = -578 meV/atom
Crystal system = cubic

```
22
Lattice="-4.442 4.442 4.442 4.442 -4.442 4.442 4.442 4.442 -4.442" Properties=species:S:1:pos:R:3 pbc="T T T"
Ho 2.601 0.000 0.000
Ho 6.282 0.000 0.000
Ho 0.000 2.601 0.000
Ho 0.000 0.000 2.601
Ho 0.000 6.282 0.000
Ho 0.000 0.000 6.282
Al 2.221 2.221 -2.221
Al 2.221 -2.221 2.221
Al -2.221 2.221 2.221
Al 2.221 2.221 2.221
Ni 4.442 1.468 -1.468
Ni 4.442 -1.468 1.468
Ni 4.442 1.468 1.468
Ni 1.468 4.442 -1.468
Ni 2.973 2.973 0.000
Ni 1.468 -1.468 4.442
Ni 2.973 0.000 2.973
Ni -1.468 4.442 1.468
Ni 1.468 4.442 1.468
Ni -1.468 1.468 4.442
Ni 1.468 1.468 4.442
Ni 0.000 2.973 2.973
```

---

Entry from the Materials Project: an optimized crystal structure of BaEuO2 (PBE-GGA).

Calculated values
Raw total energy = -8.13 eV per atom
Space-group type = No. 166
Formation energy = -2951 meV/atom
Crystal system = trigonal

```
4
Lattice="1.876 1.083 6.258 -1.876 1.083 6.258 0.000 -2.167 6.258" Properties=species:S:1:pos:R:3 pbc="T T T"
Ba 0.000 0.000 0.000
Eu 0.000 0.000 9.388
O 0.000 0.000 4.500
O 0.000 0.000 14.276
```

---

Entry from the Materials Project: an optimized crystal structure of Al3Si2H3O10 (PBE-GGA).

Calculated values
Raw total energy = -6.96 eV per atom
Space-group type = No. 2
Formation energy = -2796 meV/atom
Crystal system = triclinic

```
36
Lattice="6.189 0.000 0.000 0.431 7.326 0.000 0.271 3.341 7.058" Properties=species:S:1:pos:R:3 pbc="T T T"
Al 1.127 2.416 2.797
Al 1.869 1.900 0.071
Al 2.444 4.598 4.276
Al 4.446 6.070 2.782
Al 5.020 8.767 6.986
Al 5.763 8.251 4.260
Si 1.255 6.695 2.087
Si 2.810 7.682 5.002
Si 4.080 2.985 2.056
Si 5.634 3.972 4.971
H 0.996 4.099 0.931
H 1.586 5.653 0.113
H 2.524 2.897 6.116
H 4.366 7.770 0.941
H 5.304 5.014 6.944
H 5.893 6.569 6.127
O 0.680 3.961 3.981
O 0.888 5.810 0.736
O 1.028 3.164 1.084
O 1.481 8.520 4.239
O 1.326 0.865 1.626
O 2.328 6.170 5.478
O 2.537 5.811 2.847
O 2.554 3.847 5.980
O 3.189 8.572 6.319
O 2.884 3.046 3.110
O 4.006 7.621 3.948
O 3.701 2.095 0.738
O 4.336 6.820 1.077
O 4.353 4.856 4.211
O 4.561 4.497 1.580
O 5.563 9.802 5.431
O 5.409 2.148 2.819
O 5.862 7.503 5.974
O 6.001 4.858 6.322
O 6.210 6.706 3.077
```

---

Entry from the Materials Project: an optimized crystal structure of Ca2Zn2CuP3 (PBE-GGA).

Calculated values
Raw total energy = -4.12 eV per atom
Space-group type = No. 194
Formation energy = -764 meV/atom
Crystal system = hexagonal

```
16
Lattice="4.044 0.000 0.000 -2.022 3.503 0.000 0.000 0.000 21.534" Properties=species:S:1:pos:R:3 pbc="T T T"
Ca 0.000 0.000 3.416
Ca 0.000 0.000 7.351
Ca 0.000 0.000 14.184
Ca 0.000 0.000 18.118
Zn 0.000 2.335 0.910
Zn 0.000 2.335 9.857
Zn 2.022 1.167 11.678
Zn 2.022 1.167 20.624
Cu 0.000 2.335 16.151
Cu 2.022 1.167 5.384
P 0.000 2.335 5.384
P 0.000 2.335 12.394
P 0.000 2.335 19.907
P 2.022 1.167 1.627
P 2.022 1.167 9.140
P 2.022 1.167 16.151
```

---

Entry from the Materials Project: an optimized crystal structure of BaScO2F (PBE-GGA).

Calculated values
Raw total energy = -7.39 eV per atom
Space-group type = No. 123
Formation energy = -3741 meV/atom
Crystal system = tetragonal

```
5
Lattice="4.207 0.000 0.000 0.000 4.207 0.000 0.000 0.000 4.211" Properties=species:S:1:pos:R:3 pbc="T T T"
Ba 0.000 0.000 0.000
Sc 2.103 2.103 2.106
O 0.000 2.103 2.106
O 2.103 0.000 2.106
F 2.103 2.103 0.000
```

---

Entry from the Materials Project: an optimized crystal structure of LiPmHg2 (PBE-GGA).

Calculated values
Raw total energy = -2.28 eV per atom
Space-group type = No. 225
Formation energy = -458 meV/atom
Crystal system = cubic

```
4
Lattice="0.000 3.625 3.625 3.625 0.000 3.625 3.625 3.625 0.000" Properties=species:S:1:pos:R:3 pbc="T T T"
Li 0.000 0.000 0.000
Pm 3.625 3.625 3.625
Hg 1.812 1.812 1.812
Hg 5.437 5.437 5.437
```

---

Entry from the Materials Project: an optimized crystal structure of Na3AlAs2 (PBE-GGA).

Calculated values
Raw total energy = -3.35 eV per atom
Space-group type = No. 72
Formation energy = -513 meV/atom
Crystal system = orthorhombic

```
12
Lattice="-3.503 6.846 3.118 3.503 -6.846 3.118 3.503 6.846 -3.118" Properties=species:S:1:pos:R:3 pbc="T T T"
Na 4.802 2.594 0.000
Na 0.000 0.000 1.559
Na 1.299 4.252 0.000
Na 2.204 2.594 3.118
Na 0.000 0.000 4.677
Na -1.299 4.252 3.118
Al 3.503 0.000 1.559
Al 0.000 6.846 1.559
As 2.091 1.416 0.000
As 2.091 -1.416 3.118
As 1.412 8.262 0.000
As 1.412 5.430 3.118
```

---

Entry from the Materials Project: an optimized crystal structure of Rb2LiNb2Te2O12 (PBE-GGA).

Calculated values
Raw total energy = -6.52 eV per atom
Space-group type = No. 1
Energy above the most stable polymorph in this dataset = 0.000 eV per atom
Formation energy = -2230 meV/atom
Crystal system = triclinic

```
19
Lattice="7.454 0.000 0.000 3.714 6.497 0.000 3.631 2.230 6.188" Properties=species:S:1:pos:R:3 pbc="T T T"
Rb 0.000 0.000 0.000
Rb 3.930 2.132 2.185
Li 7.224 4.446 5.291
Nb 5.733 5.362 3.271
Nb 7.877 4.105 0.330
Te 7.606 2.085 3.533
Te 9.478 5.345 3.553
O 5.367 7.267 3.108
O 5.460 5.535 5.540
O 6.182 3.433 3.969
O 7.647 5.875 3.977
O 6.256 5.019 1.549
O 9.885 7.205 3.068
O 9.964 5.580 5.428
O 11.444 8.046 5.479
O 9.032 3.489 4.098
O 7.617 2.555 1.583
O 9.089 5.021 1.671
O 11.307 4.776 3.134
```